Here is a geometry-optimized Mg6Ni16Ge7 structure from the Materials Project. Energies are from r2SCAN.

Energy of formation   -0.357 eV per atom
Size of the total moment   0.0 μB/cell

Structure (POSCAR):
```
Mg6Ni16Ge7
1.0
0.000 5.716 5.716
5.716 0.000 5.716
5.716 5.716 0.000
Ge Ni Mg
7 16 6
Cartesian
5.716 5.716 5.716
8.574 11.432 8.574
11.432 8.574 8.574
5.716 8.574 8.574
8.574 8.574 5.716
8.574 5.716 8.574
8.574 8.574 11.432
7.073 7.073 4.360
3.780 3.780 1.936
9.495 9.495 9.495
7.652 9.496 7.652
3.780 1.936 3.780
7.652 7.652 9.496
7.073 4.359 7.073
1.937 1.937 1.937
9.496 7.652 7.652
4.360 7.073 7.073
4.359 4.359 7.073
7.073 4.359 4.359
4.359 4.359 4.359
1.936 3.780 3.780
4.359 7.073 4.359
7.073 7.073 7.073
9.077 5.715 5.715
2.355 5.717 5.717
5.717 2.355 5.717
5.715 5.715 9.077
5.717 5.717 2.355
5.715 9.077 5.715
```

***

Here is a geometry-optimized Gd5Y3O12 structure from the Materials Project. Energies are from r2SCAN.

Energy of formation   -3.806 eV per atom
Size of the total moment   70.0 μB/cell

Structure (POSCAR):
```
Gd5Y3O12
1.0
-5.365 5.367 5.371
5.365 -5.367 5.371
5.365 5.367 -5.371
O Y Gd
24 6 10
Cartesian
4.083 6.539 3.719
6.536 3.751 4.058
1.630 -1.294 6.575
4.083 4.195 1.652
1.304 1.190 3.734
-1.171 3.751 6.683
1.171 1.616 6.683
3.735 1.294 1.205
-1.194 1.640 1.300
3.735 -1.294 4.166
1.630 1.294 -1.205
6.559 1.640 -1.300
1.194 3.727 1.300
3.728 6.670 -1.187
6.647 1.172 1.652
1.637 6.670 1.187
4.195 1.616 4.058
1.637 4.064 4.183
1.304 -1.190 1.636
6.647 -1.172 3.719
-1.304 4.177 3.734
-1.304 6.556 1.636
3.728 4.064 6.558
4.171 3.727 -1.300
0.354 0.000 8.056
5.011 0.000 2.685
2.672 2.685 8.051
2.693 2.685 2.690
8.037 2.682 2.690
-2.672 2.682 8.051
0.000 2.683 5.031
5.365 -2.683 5.013
-2.683 5.026 5.371
8.048 0.347 0.000
2.683 5.020 0.000
0.000 8.050 0.339
0.346 5.367 2.685
2.683 0.341 5.371
5.365 2.683 0.357
5.019 5.367 -2.685
```

***

Here is a geometry-optimized PbSe structure from the Materials Project. Energies are from r2SCAN.

Energy of formation   -0.634 eV per atom
Size of the total moment   0.0 μB/cell

Structure (POSCAR):
```
PbSe
1.0
5.740 -0.792 -2.949
-6.035 2.136 -1.135
1.212 4.093 1.260
Se Pb
2 2
Cartesian
5.015 2.684 -1.753
-4.099 2.753 -1.071
-1.396 2.081 -1.488
2.313 3.356 -1.337
```

***

Here is a geometry-optimized NiSb structure from the Materials Project. Energies are from r2SCAN.

Energy of formation   -0.254 eV per atom
Size of the total moment   0.0 μB/cell

Structure (POSCAR):
```
NiSb
1.0
-0.386 -3.904 0.225
3.065 1.565 -1.897
2.698 -0.016 4.347
Sb Ni
2 2
Cartesian
2.589 -0.262 -0.103
2.788 -2.093 2.778
1.349 -0.008 2.173
0.000 0.000 0.000
```

***

Here is a geometry-optimized ZrGeRu structure from the Materials Project. Energies are from r2SCAN.

Energy of formation   -0.863 eV per atom
Size of the total moment   0.0 μB/cell

Structure (POSCAR):
```
ZrGeRu
1.0
6.094 0.000 -2.976
-1.777 6.320 -3.638
-0.002 -0.012 7.723
Zr Ge Ru
6 6 6
Cartesian
2.216 2.814 -0.065
1.261 6.139 -1.565
4.252 4.751 -5.436
5.123 1.557 4.074
-0.365 3.494 2.377
0.231 0.169 4.053
0.683 1.092 1.472
4.442 2.131 1.441
1.864 4.916 -3.984
2.510 1.392 5.064
-0.185 4.177 -0.304
3.574 5.216 -0.334
4.257 0.968 -0.870
1.541 0.000 -0.752
0.652 3.160 -2.571
1.525 5.340 1.263
2.305 2.566 2.860
3.477 3.742 -2.467
```

***

Here is a geometry-optimized CaH16O10 structure from the Materials Project. Energies are from r2SCAN.

Energy of formation   -1.180 eV per atom
Polymorph energy (0 for the lowest one)   0 meV/atom
Size of the total moment   0.0 μB/cell

Structure (POSCAR):
```
CaH16O10
1.0
-1.058 2.000 5.698
-3.166 -5.112 1.194
8.931 -4.851 3.461
H O Ca
32 20 2
Cartesian
4.945 -5.941 7.856
-0.122 -2.120 2.569
4.078 -2.709 3.748
-1.530 -1.592 6.715
7.518 -4.014 7.513
6.355 -6.468 3.710
1.859 -5.612 3.227
4.955 -7.167 5.995
-0.742 -1.482 1.254
4.538 -3.860 4.743
1.247 -2.212 5.855
-2.697 -4.050 2.911
3.575 -5.859 4.560
5.566 -6.578 9.171
3.852 -3.723 6.827
6.131 -4.394 6.836
6.158 -5.591 4.995
2.960 -2.458 7.189
0.282 -4.213 5.674
0.741 -5.365 6.669
0.895 -2.142 7.381
2.778 -1.065 3.851
0.967 -4.347 3.588
-1.332 -2.470 5.429
2.042 -7.009 6.566
1.930 -2.382 3.750
3.923 -5.927 3.032
-1.310 -3.668 3.587
-0.132 -0.897 4.427
0.584 0.289 3.693
4.234 -8.351 6.728
2.891 -5.693 6.666
4.792 -6.054 8.842
2.171 -6.217 7.144
1.470 -1.711 6.699
3.350 -6.358 3.715
1.101 -5.068 2.896
-1.878 -2.408 6.277
0.079 0.083 4.520
6.713 -3.615 7.097
-0.062 -4.951 6.263
4.740 -8.146 5.902
3.718 -3.003 7.519
5.249 -5.612 6.295
2.650 -1.858 3.272
-1.892 -4.448 3.327
0.031 -2.006 1.582
4.882 -3.121 4.154
6.703 -5.653 4.148
0.813 -3.119 4.597
4.008 -4.952 5.820
-0.426 -2.452 4.128
5.690 -1.709 8.321
2.297 -1.245 0.904
```